Entry 1:
The following is a DFT calculation (PBE+U) of an optimized crystal structure of LiMnP3O9.

Computed properties:
- Energy above the most stable polymorph in this dataset: 0.053 eV/atom
- Spin magnetization: 0.357 μB/atom
- Electronic total energy: -0.2628 hartree per atom

Geometry as POSCAR:
```
LiMnP3O9
1.0
-1.3799 -8.4294 7.5848
0.8568 -4.4348 -4.7728
10.2221 -0.1531 1.6895
Li Mn P O
4 4 12 36
Cartesian
3.2550 -6.7767 0.0535
0.9011 -8.8018 5.9767
8.7979 -4.2155 -1.4752
6.4439 -6.2406 4.4480
4.4211 -4.2912 4.6372
5.5394 -2.2940 -1.5416
-0.2615 -6.4321 1.4060
0.0000 0.0000 0.0000
3.5971 -7.5551 5.1049
2.7452 -8.2803 2.2760
2.6545 -11.1338 2.7693
2.1513 -2.7751 -0.3157
1.6516 -3.5287 2.4368
0.9999 -5.3308 -1.4975
8.6991 -7.6865 5.9990
7.5476 -10.2422 4.8172
8.0474 -9.4886 2.0648
7.0444 -1.8835 1.7323
6.9538 -4.7370 2.2255
6.1019 -5.4622 -0.6034
5.3633 -4.2942 -1.1433
5.2256 -6.6326 -0.2502
4.1559 -8.4099 1.7869
3.7042 -10.9587 3.8035
2.5306 -4.0152 3.5548
3.2719 -2.0805 -1.0517
2.3809 -7.1711 6.0765
2.6565 -7.9148 3.8507
2.6170 -3.0818 1.2037
1.9948 -9.7136 2.3223
2.0931 -6.4655 -1.7936
2.0500 -4.3015 -0.8458
1.8993 -7.2975 1.5026
1.5351 -12.1161 2.9728
0.8372 -2.0559 -0.3572
0.4978 -4.3395 1.9745
-0.5111 -7.0320 3.3473
-0.9375 -8.1400 5.5552
10.6365 -4.8773 -1.0537
10.2101 -5.9853 1.1542
8.8618 -10.9615 4.8587
9.2012 -8.6778 2.5270
8.1639 -0.9012 1.5288
7.7997 -5.7199 2.9989
7.6059 -6.5518 6.2951
7.6490 -8.7159 5.3474
7.7042 -3.3037 2.1793
7.0820 -9.9355 3.2978
7.3181 -5.8462 -1.5750
7.0425 -5.1025 0.6508
6.4271 -10.9368 5.5532
7.1684 -9.0021 0.9467
5.9947 -2.0586 0.6980
5.5431 -4.6074 2.7146
4.3356 -8.7231 5.6448
4.4734 -6.3848 4.7517
```


Entry 2:
The following is a DFT calculation (PBE+U) of an optimized crystal structure of Rb2W2O7.

Computed properties:
- Electronic total energy: -0.2468 hartree per atom

Geometry as POSCAR:
```
Rb2W2O7
1.0
-3.3955 1.6200 1.0432
-2.7990 -2.7314 -4.9002
-3.0496 -11.7202 8.2749
Rb W O
4 4 14
Cartesian
-2.8663 -4.2885 -2.6277
-7.3089 -8.1082 3.3243
-6.3778 -8.5430 7.0456
-1.9353 -4.7233 1.0936
-3.9770 -6.3535 4.0805
-2.7054 -0.6458 -0.3660
-5.2672 -6.4780 0.3374
-6.5387 -12.1858 4.7839
-6.4441 -11.0256 3.3993
-4.6433 -4.8768 -0.2275
-2.8001 -1.8059 1.0186
-4.6009 -7.9547 4.6455
-3.5789 -1.7005 -1.7005
-6.0154 -8.4641 0.8212
-5.6652 -11.1310 6.1184
-3.2287 -4.3674 3.5967
-4.6221 -6.4158 2.2090
-1.6977 0.8100 0.5216
-5.6876 -5.4346 4.4878
-8.3111 -11.5046 5.3592
-3.5566 -7.3969 -0.0699
-0.9330 -1.3269 -0.9413
```


Entry 3:
The following is a DFT calculation (PBE+U) of an optimized crystal structure of Li2MnPCO7.

Computed properties:
- Energy above the most stable polymorph in this dataset: 0.003 eV/atom
- Spin magnetization: 0.000 μB/atom
- Electronic total energy: -0.2570 hartree per atom

Geometry as POSCAR:
```
Li2MnPCO7
1.0
0.0000 6.2957 0.0000
0.2049 0.0000 8.5787
10.3535 0.0000 0.1612
Li Mn P C O
8 4 4 4 28
Cartesian
4.2024 0.1303 6.8112
9.3791 0.1303 6.8918
1.1793 6.1654 1.8481
6.3561 6.1654 1.9287
1.1793 3.2782 1.8481
6.3561 3.2782 1.9287
4.2024 3.0175 6.8112
9.3791 3.0175 6.8918
9.2526 4.7218 3.1606
6.4826 1.5739 5.6598
4.0760 4.7218 3.0801
1.3058 1.5739 5.5792
3.7523 1.5739 3.7633
8.9291 1.5739 3.8439
1.6294 4.7218 4.8959
6.8061 4.7218 4.9766
3.7343 4.7218 0.5289
8.9110 4.7218 0.6095
1.6474 1.5739 8.1304
6.8242 1.5739 8.2109
2.6580 4.7218 1.2482
7.8348 4.7218 1.3288
2.7237 1.5739 7.4111
7.9004 1.5739 7.4916
4.8695 4.7218 1.2357
10.0463 4.7218 1.3163
0.5122 1.5739 7.4236
5.6889 1.5739 7.5042
1.0639 4.7218 3.4598
6.2406 4.7218 3.5404
4.3178 1.5739 5.1995
9.4946 1.5739 5.2801
2.1839 1.5739 3.8498
7.3606 1.5739 3.9304
3.1978 4.7218 4.8094
8.3746 4.7218 4.8900
3.9778 4.7218 7.8419
9.1547 4.7218 7.9225
1.4039 1.5739 0.8174
6.5805 1.5739 0.8979
1.1478 5.9392 5.7163
6.3246 5.9393 5.7968
1.1478 3.5043 5.7163
6.3246 3.5043 5.7968
4.2339 2.7914 2.9430
9.4106 2.7914 3.0237
4.2339 0.3565 2.9430
9.4106 0.3565 3.0237
```


Entry 4:
The following is a DFT calculation (PBE+U) of an optimized crystal structure of Mg6AlCrO8.

Computed properties:
- Energy above the most stable polymorph in this dataset: 0.044 eV/atom
- Spin magnetization: 0.284 μB/atom
- Electronic total energy: -0.2265 hartree per atom

Geometry as POSCAR:
```
Mg6AlCrO8
1.0
8.8047 0.0000 0.0000
0.0000 4.2740 0.0000
0.0000 0.0000 4.2740
Mg Al Cr O
6 1 1 8
Cartesian
4.4024 0.0000 0.0000
4.4024 2.1370 2.1370
2.2101 0.0000 2.1370
6.5946 0.0000 2.1370
2.2101 2.1370 0.0000
6.5946 2.1370 0.0000
0.0000 0.0000 0.0000
0.0000 2.1370 2.1370
1.9980 0.0000 0.0000
6.8067 0.0000 0.0000
2.3712 2.1370 2.1370
6.4336 2.1370 2.1370
0.0000 0.0000 2.1370
4.4024 0.0000 2.1370
0.0000 2.1370 0.0000
4.4024 2.1370 0.0000
```


Entry 5:
The following is a DFT calculation (PBE+U) of an optimized crystal structure of Ta4Mn11O21.

Computed properties:
- Spin magnetization: 1.528 μB/atom
- Electronic total energy: -0.3173 hartree per atom

Geometry as POSCAR:
```
Ta4Mn11O21
1.0
2.7254 -4.7204 0.0000
2.7254 4.7204 0.0000
0.0000 0.0000 34.3612
Ta Mn O
8 22 42
Cartesian
2.7254 1.5735 2.4340
2.7254 -1.5735 14.7466
2.7254 -1.5735 31.9272
2.7254 1.5735 19.6146
0.0000 0.0000 7.0543
0.0000 0.0000 10.1263
0.0000 0.0000 27.3070
0.0000 0.0000 24.2349
0.0000 0.0000 3.0151
0.0000 0.0000 14.1655
0.0000 0.0000 31.3461
0.0000 0.0000 20.1957
2.7254 1.5735 33.6791
2.7254 -1.5735 17.8627
2.7254 -1.5735 0.6821
2.7254 1.5735 16.4985
2.7254 1.5735 5.3915
2.7254 -1.5735 11.7891
2.7254 -1.5735 28.9697
2.7254 1.5735 22.5721
2.7254 -1.5735 4.6372
2.7254 1.5735 12.5434
2.7254 1.5735 29.7240
2.7254 -1.5735 21.8178
2.7254 -1.5735 7.7754
2.7254 1.5735 9.4052
2.7254 1.5735 26.5858
2.7254 -1.5735 24.9560
0.0000 0.0000 0.0000
0.0000 0.0000 17.1806
3.6637 0.2281 1.2536
3.4213 3.0588 1.2536
1.0911 1.4335 1.2536
3.4213 -3.0588 15.9270
1.0911 -1.4335 15.9270
3.6637 -0.2281 15.9270
1.7870 -0.2281 33.1076
2.0294 -3.0588 33.1076
4.3596 -1.4335 33.1076
2.0294 3.0588 18.4342
4.3596 1.4335 18.4342
1.7870 0.2281 18.4342
1.9861 0.1712 3.6606
4.3094 1.6344 3.6606
1.8805 2.9148 3.6606
4.3094 -1.6344 13.5200
1.8805 -2.9148 13.5200
1.9861 -0.1712 13.5200
3.4646 -0.1712 30.7006
1.1413 -1.6344 30.7006
3.5702 -2.9148 30.7006
1.1413 1.6344 20.8412
3.5702 2.9148 20.8412
3.4646 0.1712 20.8412
3.7282 -0.1508 6.2177
0.9918 -1.4164 6.2177
3.4560 -3.1533 6.2177
0.9918 1.4164 10.9629
3.4560 3.1533 10.9629
3.7282 0.1508 10.9629
1.7225 0.1508 28.1435
4.4589 1.4164 28.1435
1.9947 3.1533 28.1435
4.4589 -1.4164 23.3983
1.9947 -3.1533 23.3983
1.7225 -0.1508 23.3983
1.5038 0.0000 8.5903
1.9735 -3.4182 8.5903
1.9735 3.4182 8.5903
3.9469 0.0000 25.7709
0.7519 -1.3023 25.7709
0.7519 1.3023 25.7709
```


Entry 6:
The following is a DFT calculation (PBE+U) of an optimized crystal structure of Li2FePCO7.

Computed properties:
- Energy above the most stable polymorph in this dataset: 0.015 eV/atom
- Spin magnetization: 0.417 μB/atom
- Electronic total energy: -0.2507 hartree per atom

Geometry as POSCAR:
```
Li2FePCO7
1.0
6.4942 0.0000 0.0000
0.0000 9.3861 0.0000
0.0000 4.7408 8.9893
Li Fe P C O
8 4 4 4 28
Cartesian
1.6735 3.6059 5.1339
1.5737 1.2355 0.6393
3.0316 6.0701 6.6136
0.2156 3.6997 2.1189
6.2787 10.4272 6.8704
3.4627 8.0568 2.3757
4.9206 12.8914 8.3501
4.8208 10.5210 3.8554
4.9117 7.5270 8.4077
4.8296 5.1566 3.9131
1.6646 8.9703 5.0763
1.5825 6.5999 0.5816
1.5969 8.3492 8.3537
1.6502 5.9788 3.8590
4.8441 8.1481 5.1303
4.8973 5.7777 0.6357
4.9219 3.3525 5.6560
4.8195 0.9821 1.1614
1.6748 13.1448 7.8280
1.5723 10.7744 3.3333
4.7827 5.4081 8.8723
4.9587 3.0377 4.3776
1.7969 4.5995 6.8883
4.7637 4.6309 5.9007
1.4502 2.2291 2.3936
4.9776 2.2605 1.4060
0.4091 7.3643 8.5349
2.8357 7.4112 8.4037
0.4115 5.0408 3.9090
2.8380 4.9939 4.0402
4.7298 7.3411 6.4403
1.6857 6.9871 5.0483
5.0115 4.9707 1.9456
1.5614 4.6167 0.5537
4.9328 9.5102 8.4357
1.4827 9.1562 7.0437
4.8085 7.1398 3.9410
1.7644 6.7858 2.5490
3.6562 9.1330 4.9491
6.0828 9.0861 5.0803
6.0851 6.7626 0.4545
3.6586 6.7157 0.5856
1.5166 11.8664 7.5833
5.0440 11.8978 6.5957
1.7305 9.4960 3.0886
4.6973 9.5274 2.1010
1.5355 11.0892 4.6117
1.7116 8.7188 0.1170
```


Quick rundown of energy of formation, same order as above: -36.14, -25.04, -28.13, -43.51, -91.52, -27.36 eV/f.u.